(1)
! LiHg3 | the Materials Project | PBE | optimized geometry; values from VASP
! Total DFT energy (no corrections) (hartree per atom): -0.032
! SG: Pm-3m (221)
&SYSTEM
  ibrav = 0, nat = 4, ntyp = 2
/
ATOMIC_SPECIES
Li 6.94 Li.upf
Hg 200.59 Hg.upf
ATOMIC_POSITIONS angstrom
Li 0.000 0.000 0.000
Hg 0.000 2.269 2.269
Hg 2.269 0.000 2.269
Hg 2.269 2.269 0.000
CELL_PARAMETERS angstrom
4.537 0.000 0.000
0.000 4.537 0.000
0.000 0.000 4.537

(2)
! CeAs12Ru4 | the Materials Project | PBE | optimized geometry; values from VASP
! Total DFT energy (no corrections) (hartree per atom): -0.232
! SG: Im-3 (204)
&SYSTEM
  ibrav = 0, nat = 17, ntyp = 3
/
ATOMIC_SPECIES
Ce 140.12 Ce.upf
As 74.92 As.upf
Ru 101.07 Ru.upf
ATOMIC_POSITIONS angstrom
Ce 0.000 0.000 0.000
As 2.979 1.288 0.000
As 5.609 1.288 0.000
As 4.294 -1.315 3.006
As 3.006 4.294 -1.315
As 1.288 0.000 2.979
As 0.000 2.979 1.288
As 4.294 1.315 3.006
As 3.006 4.294 1.315
As 1.288 0.000 5.609
As 0.000 5.609 1.288
As -1.315 3.006 4.294
As 1.315 3.006 4.294
Ru 2.147 2.147 -2.147
Ru 2.147 -2.147 2.147
Ru -2.147 2.147 2.147
Ru 2.147 2.147 2.147
CELL_PARAMETERS angstrom
-4.294 4.294 4.294
4.294 -4.294 4.294
4.294 4.294 -4.294

(3)
! Ce3BeCrS7 | the Materials Project | PBE | optimized geometry; values from VASP
! Total DFT energy (no corrections) (hartree per atom): -0.240
! SG: P6_3 (173)
&SYSTEM
  ibrav = 0, nat = 24, ntyp = 4
/
ATOMIC_SPECIES
Ce 140.12 Ce.upf
Be 9.01 Be.upf
Cr 52.00 Cr.upf
S 32.06 S.upf
ATOMIC_POSITIONS angstrom
Ce -2.394 6.483 0.000
Ce 0.549 3.289 0.000
Ce 3.123 1.169 2.918
Ce 1.844 7.435 0.000
Ce 4.418 5.315 2.918
Ce 7.361 2.120 2.918
Be 0.000 5.736 3.442
Be 4.967 2.868 0.524
Cr 0.000 0.000 1.358
Cr 0.000 0.000 4.276
S -3.432 7.327 2.808
S -1.493 4.459 4.220
S 0.338 1.968 2.808
S 1.874 0.691 5.725
S 0.000 5.736 1.347
S -0.359 7.667 4.220
S 1.852 5.081 4.220
S 3.115 3.522 1.303
S 5.327 0.936 1.303
S 4.967 2.868 4.265
S 3.094 7.912 2.808
S 4.629 6.635 5.725
S 6.460 4.145 1.303
S 8.399 1.277 5.725
CELL_PARAMETERS angstrom
9.934 0.000 0.000
-4.967 8.603 0.000
0.000 0.000 5.836

(4)
! Rb2AgSbF6 | the Materials Project | PBE | optimized geometry; values from VASP
! Total DFT energy (no corrections) (hartree per atom): -0.157
! SG: Fm-3m (225)
&SYSTEM
  ibrav = 0, nat = 10, ntyp = 4
/
ATOMIC_SPECIES
Rb 85.47 Rb.upf
Ag 107.87 Ag.upf
Sb 121.76 Sb.upf
F 19.00 F.upf
ATOMIC_POSITIONS angstrom
Rb 2.327 2.327 2.327
Rb 6.982 6.982 6.982
Ag 0.000 0.000 0.000
Sb 4.655 4.655 4.655
F 4.655 4.655 2.457
F 4.655 2.457 4.655
F 6.853 4.655 4.655
F 2.457 4.655 4.655
F 4.655 6.853 4.655
F 4.655 4.655 6.853
CELL_PARAMETERS angstrom
0.000 4.655 4.655
4.655 0.000 4.655
4.655 4.655 0.000

| no. | formation enthalpy at 0 K (eV/f.u.) |
| --- | --- |
| 1 | -0.67 |
| 2 | -8.20 |
| 3 | -21.86 |
| 4 | -25.14 |